! PBE PrGe2Ir2, relaxed; values from VASP
&SYSTEM
  ibrav = 0, nat = 10, ntyp = 3
/
ATOMIC_SPECIES
Pr 140.91 Pr.upf
Ge 72.64 Ge.upf
Ir 192.22 Ir.upf
CELL_PARAMETERS angstrom
4.2881 0.0000 0.0000
0.0000 4.2881 0.0000
0.0000 0.0000 10.2218
ATOMIC_POSITIONS crystal
Pr 0.2500 0.2500 0.2464
Pr 0.7500 0.7500 0.7536
Ge 0.2500 0.2500 0.6313
Ge 0.2500 0.7500 0.0000
Ge 0.7500 0.2500 0.0000
Ge 0.7500 0.7500 0.3687
Ir 0.2500 0.2500 0.8722
Ir 0.2500 0.7500 0.5000
Ir 0.7500 0.2500 0.5000
Ir 0.7500 0.7500 0.1278
! **Space group**: P4/nmm
! **Energy relative to the elements**: -0.78 eV per atom

! PBE Sc4Ge6Ir7, relaxed; values from VASP
&SYSTEM
  ibrav = 0, nat = 17, ntyp = 3
/
ATOMIC_SPECIES
Sc 44.96 Sc.upf
Ge 72.64 Ge.upf
Ir 192.22 Ir.upf
CELL_PARAMETERS angstrom
-4.1049 4.1049 4.1049
4.1049 -4.1049 4.1049
4.1049 4.1049 -4.1049
ATOMIC_POSITIONS crystal
Sc 0.0000 0.0000 0.5000
Sc 0.0000 0.5000 0.0000
Sc 0.5000 0.0000 0.0000
Sc 0.5000 0.5000 0.5000
Ge 0.0000 0.3118 0.3118
Ge 0.0000 0.6882 0.6882
Ge 0.3118 0.0000 0.3118
Ge 0.3118 0.3118 0.0000
Ge 0.6882 0.0000 0.6882
Ge 0.6882 0.6882 0.0000
Ir 0.0000 0.0000 0.0000
Ir 0.2500 0.5000 0.7500
Ir 0.2500 0.7500 0.5000
Ir 0.5000 0.2500 0.7500
Ir 0.5000 0.7500 0.2500
Ir 0.7500 0.2500 0.5000
Ir 0.7500 0.5000 0.2500
! **Space group**: Im-3m
! **Energy relative to the elements**: -0.86 eV per atom

! PBE Sm4Ge9Ir13, relaxed; values from VASP
&SYSTEM
  ibrav = 0, nat = 52, ntyp = 3
/
ATOMIC_SPECIES
Sm 150.36 Sm.upf
Ge 72.64 Ge.upf
Ir 192.22 Ir.upf
CELL_PARAMETERS angstrom
4.0462 0.0000 0.0000
0.0000 11.3450 0.0000
0.0000 0.0000 19.6154
ATOMIC_POSITIONS crystal
Sm 0.2500 0.0591 0.2080
Sm 0.2500 0.2500 0.0219
Sm 0.2500 0.4409 0.2080
Sm 0.2500 0.7500 0.5196
Sm 0.7500 0.2500 0.4804
Sm 0.7500 0.5591 0.7920
Sm 0.7500 0.7500 0.9781
Sm 0.7500 0.9409 0.7920
Ge 0.2500 0.0687 0.4155
Ge 0.2500 0.1210 0.7304
Ge 0.2500 0.2500 0.6013
Ge 0.2500 0.3790 0.7304
Ge 0.2500 0.4313 0.4155
Ge 0.2500 0.5623 0.9189
Ge 0.2500 0.7500 0.1011
Ge 0.2500 0.7500 0.7328
Ge 0.2500 0.9377 0.9189
Ge 0.7500 0.0623 0.0811
Ge 0.7500 0.2500 0.2672
Ge 0.7500 0.2500 0.8989
Ge 0.7500 0.4377 0.0811
Ge 0.7500 0.5687 0.5845
Ge 0.7500 0.6210 0.2696
Ge 0.7500 0.7500 0.3987
Ge 0.7500 0.8790 0.2696
Ge 0.7500 0.9313 0.5845
Ir 0.2500 0.0582 0.5402
Ir 0.2500 0.1274 0.8578
Ir 0.2500 0.2500 0.3429
Ir 0.2500 0.3726 0.8578
Ir 0.2500 0.4418 0.5402
Ir 0.2500 0.5492 0.0466
Ir 0.2500 0.5667 0.6634
Ir 0.2500 0.6231 0.3546
Ir 0.2500 0.7500 0.2274
Ir 0.2500 0.7500 0.8581
Ir 0.2500 0.8769 0.3546
Ir 0.2500 0.9333 0.6634
Ir 0.2500 0.9508 0.0466
Ir 0.7500 0.0492 0.9534
Ir 0.7500 0.0667 0.3366
Ir 0.7500 0.1231 0.6454
Ir 0.7500 0.2500 0.1419
Ir 0.7500 0.2500 0.7726
Ir 0.7500 0.3769 0.6454
Ir 0.7500 0.4333 0.3366
Ir 0.7500 0.4508 0.9534
Ir 0.7500 0.5582 0.4598
Ir 0.7500 0.6274 0.1422
Ir 0.7500 0.7500 0.6571
Ir 0.7500 0.8726 0.1422
Ir 0.7500 0.9418 0.4598
! **Space group**: Pmmn
! **Energy relative to the elements**: -0.67 eV per atom
! **Size of the total moment**: 0.0 μB/cell

! PBE Sm2Ge5Ir3, relaxed; values from VASP
&SYSTEM
  ibrav = 0, nat = 20, ntyp = 3
/
ATOMIC_SPECIES
Sm 150.36 Sm.upf
Ge 72.64 Ge.upf
Ir 192.22 Ir.upf
CELL_PARAMETERS angstrom
-5.1443 5.9619 3.0470
5.1443 -5.9619 3.0470
5.1443 5.9619 -3.0470
ATOMIC_POSITIONS crystal
Sm 0.1334 0.2276 0.3610
Sm 0.3666 0.7276 0.0942
Sm 0.6334 0.2724 0.9058
Sm 0.8666 0.7724 0.6390
Ge 0.0261 0.7500 0.2761
Ge 0.0992 0.6612 0.7604
Ge 0.2500 0.2500 0.0000
Ge 0.4008 0.1612 0.5619
Ge 0.4739 0.7500 0.7239
Ge 0.5261 0.2500 0.2761
Ge 0.5992 0.8388 0.4381
Ge 0.7500 0.7500 0.0000
Ge 0.9008 0.3388 0.2396
Ge 0.9739 0.2500 0.7239
Ir 0.1417 0.8899 0.0316
Ir 0.2500 0.7500 0.5000
Ir 0.3583 0.3899 0.7482
Ir 0.6417 0.6101 0.2518
Ir 0.7500 0.2500 0.5000
Ir 0.8583 0.1101 0.9684
! **Space group**: Ibam
! **Energy relative to the elements**: -0.75 eV per atom

! PBE SmGe2Ir, relaxed; values from VASP
&SYSTEM
  ibrav = 0, nat = 16, ntyp = 3
/
ATOMIC_SPECIES
Sm 150.36 Sm.upf
Ge 72.64 Ge.upf
Ir 192.22 Ir.upf
CELL_PARAMETERS angstrom
-2.1746 4.4967 8.1243
2.1746 -4.4967 8.1243
2.1746 4.4967 -8.1243
ATOMIC_POSITIONS crystal
Sm 0.2063 0.2063 0.0000
Sm 0.2397 0.0000 0.2397
Sm 0.7603 0.0000 0.7603
Sm 0.7937 0.7937 0.0000
Ge 0.0773 0.5773 0.5000
Ge 0.1468 0.8003 0.3465
Ge 0.4216 0.4216 0.0000
Ge 0.4538 0.8003 0.6535
Ge 0.5462 0.1997 0.3465
Ge 0.5784 0.5784 0.0000
Ge 0.8532 0.1997 0.6535
Ge 0.9227 0.4227 0.5000
Ir 0.1049 0.3537 0.7512
Ir 0.3976 0.6463 0.7512
Ir 0.6024 0.3537 0.2488
Ir 0.8951 0.6463 0.2488
! **Space group**: Immm
! **Energy relative to the elements**: -0.81 eV per atom

! PBE Sm3Ge13Ir4, relaxed; values from VASP
&SYSTEM
  ibrav = 0, nat = 40, ntyp = 3
/
ATOMIC_SPECIES
Sm 150.36 Sm.upf
Ge 72.64 Ge.upf
Ir 192.22 Ir.upf
CELL_PARAMETERS angstrom
9.1077 0.0000 0.0000
0.0000 9.1077 0.0000
0.0000 0.0000 9.1077
ATOMIC_POSITIONS crystal
Sm 0.0000 0.2500 0.5000
Sm 0.0000 0.7500 0.5000
Sm 0.2500 0.5000 0.0000
Sm 0.5000 0.0000 0.2500
Sm 0.5000 0.0000 0.7500
Sm 0.7500 0.5000 0.0000
Ge 0.0000 0.0000 0.0000
Ge 0.0000 0.3076 0.1463
Ge 0.0000 0.3076 0.8537
Ge 0.0000 0.6924 0.1463
Ge 0.0000 0.6924 0.8537
Ge 0.1463 0.0000 0.3076
Ge 0.1463 0.0000 0.6924
Ge 0.1924 0.5000 0.3537
Ge 0.1924 0.5000 0.6463
Ge 0.3076 0.1463 0.0000
Ge 0.3076 0.8537 0.0000
Ge 0.3537 0.1924 0.5000
Ge 0.3537 0.8076 0.5000
Ge 0.5000 0.3537 0.1924
Ge 0.5000 0.3537 0.8076
Ge 0.5000 0.5000 0.5000
Ge 0.5000 0.6463 0.1924
Ge 0.5000 0.6463 0.8076
Ge 0.6463 0.1924 0.5000
Ge 0.6463 0.8076 0.5000
Ge 0.6924 0.1463 0.0000
Ge 0.6924 0.8537 0.0000
Ge 0.8076 0.5000 0.3537
Ge 0.8076 0.5000 0.6463
Ge 0.8537 0.0000 0.3076
Ge 0.8537 0.0000 0.6924
Ir 0.2500 0.2500 0.2500
Ir 0.2500 0.2500 0.7500
Ir 0.2500 0.7500 0.2500
Ir 0.2500 0.7500 0.7500
Ir 0.7500 0.2500 0.2500
Ir 0.7500 0.2500 0.7500
Ir 0.7500 0.7500 0.2500
Ir 0.7500 0.7500 0.7500
! **Space group**: Pm-3n
! **Energy relative to the elements**: -0.52 eV per atom
! **Size of the total moment**: 0.0 μB/cell

! PBE SrGe3Ir, relaxed; values from VASP
&SYSTEM
  ibrav = 0, nat = 10, ntyp = 3
/
ATOMIC_SPECIES
Sr 87.62 Sr.upf
Ge 72.64 Ge.upf
Ir 192.22 Ir.upf
CELL_PARAMETERS angstrom
4.5238 0.0000 0.0000
0.0000 4.5238 0.0000
0.0000 0.0000 10.2155
ATOMIC_POSITIONS crystal
Sr 0.0000 0.0000 0.0000
Sr 0.5000 0.5000 0.5000
Ge 0.0000 0.0000 0.4124
Ge 0.0000 0.5000 0.2529
Ge 0.0000 0.5000 0.7529
Ge 0.5000 0.0000 0.2529
Ge 0.5000 0.0000 0.7529
Ge 0.5000 0.5000 0.9124
Ir 0.0000 0.0000 0.6496
Ir 0.5000 0.5000 0.1496
! **Space group**: I4mm
! **Energy relative to the elements**: -0.55 eV per atom

! PBE TbGe2Ir, relaxed; values from VASP
&SYSTEM
  ibrav = 0, nat = 16, ntyp = 3
/
ATOMIC_SPECIES
Tb 158.93 Tb.upf
Ge 72.64 Ge.upf
Ir 192.22 Ir.upf
CELL_PARAMETERS angstrom
-2.1470 4.4651 8.0933
2.1470 -4.4651 8.0933
2.1470 4.4651 -8.0933
ATOMIC_POSITIONS crystal
Tb 0.2054 0.2054 0.0000
Tb 0.2376 0.0000 0.2376
Tb 0.7624 0.0000 0.7624
Tb 0.7946 0.7946 0.0000
Ge 0.0769 0.5769 0.5000
Ge 0.1460 0.7992 0.3468
Ge 0.4220 0.4220 0.0000
Ge 0.4523 0.7992 0.6532
Ge 0.5477 0.2008 0.3468
Ge 0.5780 0.5780 0.0000
Ge 0.8540 0.2008 0.6532
Ge 0.9231 0.4231 0.5000
Ir 0.1055 0.3546 0.7509
Ir 0.3963 0.6454 0.7509
Ir 0.6037 0.3546 0.2491
Ir 0.8945 0.6454 0.2491
! **Space group**: Immm
! **Energy relative to the elements**: -0.81 eV per atom

! PBE Tb5Ge10Ir4, relaxed; values from VASP
&SYSTEM
  ibrav = 0, nat = 38, ntyp = 3
/
ATOMIC_SPECIES
Tb 158.93 Tb.upf
Ge 72.64 Ge.upf
Ir 192.22 Ir.upf
CELL_PARAMETERS angstrom
13.0476 0.0000 0.0000
0.0000 13.0476 0.0000
0.0000 0.0000 4.3664
ATOMIC_POSITIONS crystal
Tb 0.0000 0.0000 0.0000
Tb 0.1161 0.3839 0.5000
Tb 0.1747 0.6747 0.5000
Tb 0.3253 0.1747 0.5000
Tb 0.3839 0.8839 0.5000
Tb 0.5000 0.5000 0.0000
Tb 0.6161 0.1161 0.5000
Tb 0.6747 0.8253 0.5000
Tb 0.8253 0.3253 0.5000
Tb 0.8839 0.6161 0.5000
Ge 0.0081 0.8426 0.5000
Ge 0.0667 0.5667 0.0000
Ge 0.1574 0.0081 0.5000
Ge 0.1626 0.2004 0.0000
Ge 0.2004 0.8374 0.0000
Ge 0.2996 0.3374 0.0000
Ge 0.3374 0.7004 0.0000
Ge 0.3426 0.5081 0.5000
Ge 0.4333 0.0667 0.0000
Ge 0.4919 0.3426 0.5000
Ge 0.5081 0.6574 0.5000
Ge 0.5667 0.9333 0.0000
Ge 0.6574 0.4919 0.5000
Ge 0.6626 0.2996 0.0000
Ge 0.7004 0.6626 0.0000
Ge 0.7996 0.1626 0.0000
Ge 0.8374 0.7996 0.0000
Ge 0.8426 0.9919 0.5000
Ge 0.9333 0.4333 0.0000
Ge 0.9919 0.1574 0.5000
Ir 0.0216 0.7541 0.0000
Ir 0.2459 0.0216 0.0000
Ir 0.2541 0.5216 0.0000
Ir 0.4784 0.2541 0.0000
Ir 0.5216 0.7459 0.0000
Ir 0.7459 0.4784 0.0000
Ir 0.7541 0.9784 0.0000
Ir 0.9784 0.2459 0.0000
! **Space group**: P4/mbm
! **Energy relative to the elements**: -0.78 eV per atom

! PBE Tb2Ge3Ir3, relaxed; values from VASP
&SYSTEM
  ibrav = 0, nat = 8, ntyp = 3
/
ATOMIC_SPECIES
Tb 158.93 Tb.upf
Ge 72.64 Ge.upf
Ir 192.22 Ir.upf
CELL_PARAMETERS angstrom
2.7872 0.0000 0.0000
0.0000 2.7872 0.0000
0.0000 0.0000 21.2317
ATOMIC_POSITIONS crystal
Tb 0.0000 0.0000 0.2425
Tb 0.0000 0.0000 0.7575
Ge 0.0000 0.0000 0.0000
Ge 0.0000 0.0000 0.3873
Ge 0.0000 0.0000 0.6127
Ir 0.0000 0.0000 0.1182
Ir 0.0000 0.0000 0.5000
Ir 0.0000 0.0000 0.8818
! **Space group**: P4/mmm
! **Energy relative to the elements**: 0.68 eV per atom
! **Size of the total moment**: 0.0 μB/cell

! PBE TiGeIr, relaxed; values from VASP
&SYSTEM
  ibrav = 0, nat = 18, ntyp = 3
/
ATOMIC_SPECIES
Ti 47.87 Ti.upf
Ge 72.64 Ge.upf
Ir 192.22 Ir.upf
CELL_PARAMETERS angstrom
-3.7285 5.6626 3.2937
3.7285 -5.6626 3.2937
3.7285 5.6626 -3.2937
ATOMIC_POSITIONS crystal
Ti 0.0002 0.2500 0.2502
Ti 0.9998 0.7500 0.7498
Ti 0.1212 0.5965 0.0247
Ti 0.1761 0.1229 0.5531
Ti 0.5698 0.6229 0.4469
Ti 0.5718 0.0965 0.9753
Ge 0.2429 0.0776 0.1697
Ge 0.2429 0.5732 0.6653
Ge 0.5401 0.8286 0.2114
Ge 0.6172 0.3286 0.7886
Ge 0.9079 0.0732 0.8303
Ge 0.9079 0.5776 0.3347
Ir 0.3231 0.3231 0.0000
Ir 0.3231 0.8231 0.5000
Ir 0.5796 0.2468 0.4189
Ir 0.5796 0.6607 0.8328
Ir 0.8279 0.1607 0.5811
Ir 0.8279 0.7468 0.1672
! **Space group**: Ima2
! **Energy relative to the elements**: -0.71 eV per atom
! **Size of the total moment**: 0.0 μB/cell

! PBE TiGeIr, relaxed; values from VASP
&SYSTEM
  ibrav = 0, nat = 12, ntyp = 3
/
ATOMIC_SPECIES
Ti 47.87 Ti.upf
Ge 72.64 Ge.upf
Ir 192.22 Ir.upf
CELL_PARAMETERS angstrom
6.3174 0.0000 0.0000
0.0000 3.9853 0.0000
0.0000 0.0000 7.4309
ATOMIC_POSITIONS crystal
Ti 0.0271 0.2500 0.1852
Ti 0.4729 0.7500 0.6852
Ti 0.5271 0.2500 0.3148
Ti 0.9729 0.7500 0.8148
Ge 0.2390 0.7500 0.3765
Ge 0.2610 0.2500 0.8765
Ge 0.7390 0.7500 0.1235
Ge 0.7610 0.2500 0.6235
Ir 0.1559 0.2500 0.5595
Ir 0.3441 0.7500 0.0595
Ir 0.6559 0.2500 0.9405
Ir 0.8441 0.7500 0.4405
! **Space group**: Pnma
! **Energy relative to the elements**: -0.72 eV per atom

! PBE TmGeIr, relaxed; values from VASP
&SYSTEM
  ibrav = 0, nat = 12, ntyp = 3
/
ATOMIC_SPECIES
Tm 168.93 Tm.upf
Ge 72.64 Ge.upf
Ir 192.22 Ir.upf
CELL_PARAMETERS angstrom
6.7703 0.0000 0.0000
0.0000 4.2835 0.0000
0.0000 0.0000 7.6251
ATOMIC_POSITIONS crystal
Tm 0.0064 0.2500 0.1943
Tm 0.4936 0.7500 0.6943
Tm 0.5064 0.2500 0.3057
Tm 0.9936 0.7500 0.8057
Ge 0.2123 0.7500 0.3886
Ge 0.2877 0.2500 0.8886
Ge 0.7123 0.7500 0.1114
Ge 0.7877 0.2500 0.6114
Ir 0.1614 0.2500 0.5637
Ir 0.3386 0.7500 0.0637
Ir 0.6614 0.2500 0.9363
Ir 0.8386 0.7500 0.4363
! **Space group**: Pnma
! **Energy relative to the elements**: -0.96 eV per atom

! PBE Tm4Ge6Ir7, relaxed; values from VASP
&SYSTEM
  ibrav = 0, nat = 17, ntyp = 3
/
ATOMIC_SPECIES
Tm 168.93 Tm.upf
Ge 72.64 Ge.upf
Ir 192.22 Ir.upf
CELL_PARAMETERS angstrom
-4.1793 4.1793 4.1793
4.1793 -4.1793 4.1793
4.1793 4.1793 -4.1793
ATOMIC_POSITIONS crystal
Tm 0.0000 0.0000 0.5000
Tm 0.0000 0.5000 0.0000
Tm 0.5000 0.0000 0.0000
Tm 0.5000 0.5000 0.5000
Ge 0.0000 0.3165 0.3165
Ge 0.0000 0.6835 0.6835
Ge 0.3165 0.0000 0.3165
Ge 0.3165 0.3165 0.0000
Ge 0.6835 0.0000 0.6835
Ge 0.6835 0.6835 0.0000
Ir 0.0000 0.0000 0.0000
Ir 0.2500 0.5000 0.7500
Ir 0.2500 0.7500 0.5000
Ir 0.5000 0.2500 0.7500
Ir 0.5000 0.7500 0.2500
Ir 0.7500 0.2500 0.5000
Ir 0.7500 0.5000 0.2500
! **Space group**: Im-3m
! **Energy relative to the elements**: -0.90 eV per atom

! PBE UGe2Ir, relaxed; values from VASP
&SYSTEM
  ibrav = 0, nat = 16, ntyp = 3
/
ATOMIC_SPECIES
U 238.03 U.upf
Ge 72.64 Ge.upf
Ir 192.22 Ir.upf
CELL_PARAMETERS angstrom
-2.1705 4.3981 8.0179
2.1705 -4.3981 8.0179
2.1705 4.3981 -8.0179
ATOMIC_POSITIONS crystal
U 0.2046 0.2046 0.0000
U 0.2378 0.0000 0.2378
U 0.7622 0.0000 0.7622
U 0.7954 0.7954 0.0000
Ge 0.0754 0.5754 0.5000
Ge 0.1476 0.8008 0.3468
Ge 0.4248 0.4248 0.0000
Ge 0.4541 0.8008 0.6532
Ge 0.5459 0.1992 0.3468
Ge 0.5752 0.5752 0.0000
Ge 0.8524 0.1992 0.6532
Ge 0.9246 0.4246 0.5000
Ir 0.1037 0.3536 0.7501
Ir 0.3965 0.6464 0.7501
Ir 0.6035 0.3536 0.2499
Ir 0.8963 0.6464 0.2499
! **Space group**: Immm
! **Energy relative to the elements**: -0.45 eV per atom
! **Size of the total moment**: 7.8 μB/cell